NdAsRuO: relaxed, PBE.

Lattice parameters (Å, degrees): 4.135 4.135 8.325 90.00 90.00 90.00
Fractional positions:
Nd1 0.000 0.500 0.637
Nd2 0.500 0.000 0.363
As1 0.000 0.500 0.156
As2 0.500 0.000 0.844
Ru1 0.000 0.000 0.000
Ru2 0.500 0.500 0.000
O1 0.000 0.000 0.500
O2 0.500 0.500 0.500

For the energy of formation from the pure elements, the calculation gives -46.5 kcal/mol of atoms.